one:
The following is a GGA+U calculation of Li3Cr5O8 after structural relaxation, from the Materials Project database.

abc: 6.0309 6.0309 14.6826
angles: 90.00 90.00 120.00
Space group R-3m (No. 166, hexagonal axes)
Asymmetric unit:
Li 0.0000 0.5000 0.0000 [9 per cell]
Cr 0.0000 0.0000 0.0000 [3 per cell]
Cr 0.0000 0.0000 0.5000 [3 per cell]
Cr 0.0000 0.5000 0.5000 [9 per cell]
O 0.0000 0.0000 0.2405 [6 per cell]
O 0.0115 0.5057 0.7538 [18 per cell]

The crystal system is trigonal. The size of the total moment is 17.000 μB/f.u.

---

two:
The following is a GGA+U calculation of Li3Cr5O8 after structural relaxation, from the Materials Project database.

abc: 6.060 6.074 10.444
angles: 89.07 73.30 60.31
Space group P-1 (No. 2)
Asymmetric unit:
Li 0.000 0.000 0.000 [1 per cell]
Li 0.000 0.500 0.500 [1 per cell]
Li 0.001 0.248 0.749 [2 per cell]
Li 0.002 0.751 0.749 [2 per cell]
Cr 0.000 0.000 0.500 [1 per cell]
Cr 0.000 0.500 0.000 [1 per cell]
Cr 0.496 0.249 0.248 [2 per cell]
Cr 0.497 0.253 0.749 [2 per cell]
Cr 0.500 0.000 0.000 [1 per cell]
Cr 0.500 0.000 0.500 [1 per cell]
Cr 0.500 0.500 0.000 [1 per cell]
Cr 0.500 0.500 0.500 [1 per cell]
O 0.254 0.149 0.883 [2 per cell]
O 0.254 0.650 0.383 [2 per cell]
O 0.277 0.357 0.116 [2 per cell]
O 0.277 0.358 0.619 [2 per cell]
O 0.278 0.103 0.370 [2 per cell]
O 0.282 0.856 0.119 [2 per cell]
O 0.283 0.605 0.869 [2 per cell]
O 0.288 0.852 0.619 [2 per cell]

The crystal system is triclinic. The size of the total moment is 1.000 μB/f.u.

---

Going by the energies, two is most stable and the next is 4.3 kJ/mol of atoms up.

---

one:
The following is a GGA+U calculation of LiCrPO4 after structural relaxation, from the Materials Project database.

abc: 7.549 4.941 18.367
angles: 90.00 92.95 90.00
Space group P2_1/c (No. 14)
Asymmetric unit:
Li 0.001 0.162 0.327 [4 per cell]
Li 0.481 0.741 0.094 [4 per cell]
Cr 0.138 0.237 0.511 [4 per cell]
Cr 0.318 0.720 0.275 [4 per cell]
P 0.257 0.705 0.936 [4 per cell]
P 0.258 0.154 0.179 [4 per cell]
O 0.065 0.560 0.930 [4 per cell]
O 0.124 0.001 0.228 [4 per cell]
O 0.229 0.062 0.099 [4 per cell]
O 0.239 0.036 0.689 [4 per cell]
O 0.241 0.017 0.927 [4 per cell]
O 0.335 0.619 0.010 [4 per cell]
O 0.357 0.580 0.872 [4 per cell]
O 0.444 0.041 0.205 [4 per cell]

The crystal system is monoclinic. The size of the total moment is 4.000 μB/f.u.

---

two:
The following is a GGA+U calculation of LiCrPO4 after structural relaxation, from the Materials Project database.

abc: 5.204 9.711 8.643
angles: 90.00 125.20 90.00
Space group P2_1/c (No. 14)
Asymmetric unit:
Li 0.228 0.180 0.026 [4 per cell]
Cr 0.236 0.613 0.978 [4 per cell]
P 0.077 0.594 0.267 [4 per cell]
O 0.066 0.060 0.808 [4 per cell]
O 0.084 0.687 0.414 [4 per cell]
O 0.235 0.113 0.441 [4 per cell]
O 0.357 0.630 0.256 [4 per cell]

The crystal system is monoclinic. The size of the total moment is 0.000 μB/f.u.

---

Going by the energies, two is most stable and the next is 3.8 kJ/mol of atoms up.

---

one:
The following is a GGA+U calculation of LiCrPO4 after structural relaxation, from the Materials Project database.

abc: 7.944 9.183 4.986
angles: 90.00 90.00 90.00
Space group Pna2_1 (No. 33)
Asymmetric unit:
Li 0.049 0.117 0.000 [4 per cell]
Cr 0.165 0.539 0.021 [4 per cell]
P 0.231 0.354 0.616 [4 per cell]
O 0.060 0.427 0.703 [4 per cell]
O 0.139 0.957 0.264 [4 per cell]
O 0.224 0.199 0.744 [4 per cell]
O 0.239 0.850 0.815 [4 per cell]

The crystal system is orthorhombic. The size of the total moment is 4.000 μB/f.u.

---

two:
The following is a GGA+U calculation of LiCrPO4 after structural relaxation, from the Materials Project database.

abc: 8.301 16.710 5.029
angles: 90.00 90.00 90.00
Space group Pna2_1 (No. 33)
Asymmetric unit:
Li 0.031 0.056 0.000 [4 per cell]
Li 0.140 0.637 0.525 [4 per cell]
Cr 0.131 0.251 0.582 [4 per cell]
Cr 0.150 0.447 0.536 [4 per cell]
P 0.228 0.323 0.008 [4 per cell]
P 0.241 0.066 0.495 [4 per cell]
O 0.082 0.036 0.377 [4 per cell]
O 0.087 0.355 0.816 [4 per cell]
O 0.112 0.857 0.426 [4 per cell]
O 0.113 0.531 0.833 [4 per cell]
O 0.176 0.343 0.299 [4 per cell]
O 0.216 0.231 0.964 [4 per cell]
O 0.241 0.657 0.956 [4 per cell]
O 0.243 0.543 0.298 [4 per cell]

The crystal system is orthorhombic. The size of the total moment is 0.000 μB/f.u.

---

Going by the energies, one is most stable and the next is 1.3 kJ/mol of atoms up.

---

one:
The following is a GGA+U calculation of LiCrP2O7 after structural relaxation, from the Materials Project database.

abc: 7.181 7.950 9.522
angles: 90.00 110.85 90.00
Space group P2_1/c (No. 14)
Asymmetric unit:
Li 0.198 0.020 0.221 [4 per cell]
Cr 0.240 0.005 0.753 [4 per cell]
P 0.169 0.710 0.952 [4 per cell]
P 0.416 0.241 0.045 [4 per cell]
O 0.041 0.578 0.843 [4 per cell]
O 0.121 0.608 0.396 [4 per cell]
O 0.184 0.701 0.116 [4 per cell]
O 0.300 0.134 0.600 [4 per cell]
O 0.306 0.213 0.877 [4 per cell]
O 0.380 0.659 0.936 [4 per cell]
O 0.473 0.080 0.142 [4 per cell]

The crystal system is monoclinic. The size of the total moment is 3.000 μB/f.u.

---

two:
The following is a GGA+U calculation of LiCrP2O7 after structural relaxation, from the Materials Project database.

abc: 5.011 8.124 13.709
angles: 90.00 107.14 90.00
Space group P2_1/c (No. 14)
Asymmetric unit:
Li 0.046 0.204 0.244 [4 per cell]
Cr 0.358 0.646 0.630 [4 per cell]
P 0.276 0.205 0.022 [4 per cell]
P 0.460 0.042 0.681 [4 per cell]
O 0.032 0.223 0.925 [4 per cell]
O 0.226 0.090 0.104 [4 per cell]
O 0.280 0.647 0.769 [4 per cell]
O 0.281 0.058 0.755 [4 per cell]
O 0.296 0.110 0.570 [4 per cell]
O 0.447 0.669 0.499 [4 per cell]
O 0.454 0.134 0.335 [4 per cell]

The crystal system is monoclinic. The size of the total moment is 3.000 μB/f.u.

---

Going by the energies, one is most stable and the next is 1.9 kJ/mol of atoms up.